1.
An optimized crystal structure of B8PbO15. Source: Materials Project, functional PBE.

Cell: 13.6715 8.1932 12.9227 Å, 50.91 90.00 90.00°
Closest atoms and distances in Å follow each position.
Fractional positions:
B  0.1789  0.8053  0.4904  4 O 1.46-1.55
B  0.6789  0.1947  0.0096  4 O 1.46-1.55
B  0.8211  0.1947  0.5096  4 O 1.46-1.55
B  0.3211  0.8053  0.9904  4 O 1.46-1.55
B  0.8139  0.4615  0.2449  4 O 1.46-1.54
B  0.3139  0.5385  0.2551  4 O 1.46-1.54
B  0.1861  0.5385  0.7551  4 O 1.46-1.54
B  0.6861  0.4615  0.7449  4 O 1.46-1.54
B  0.9242  0.9499  0.2570  3 O 1.36-1.39
B  0.4242  0.0501  0.2430  3 O 1.36-1.39
B  0.0758  0.0501  0.7430  3 O 1.36-1.39
B  0.5758  0.9499  0.7570  3 O 1.36-1.39
B  0.9686  0.3896  0.3712  3 O 1.37-1.38
B  0.4686  0.6104  0.1288  3 O 1.37-1.38
B  0.0314  0.6104  0.6288  3 O 1.37-1.38
B  0.5314  0.3896  0.8712  3 O 1.37-1.38
B  0.6959  0.1322  0.3816  4 O 1.46-1.52
B  0.1959  0.8678  0.1184  4 O 1.46-1.52
B  0.3041  0.8678  0.6184  4 O 1.46-1.52
B  0.8041  0.1322  0.8816  4 O 1.46-1.52
B  0.5656  0.1831  0.5000  3 O 1.35-1.40
B  0.0656  0.8169  0.0000  3 O 1.35-1.40
B  0.4344  0.8169  0.5000  3 O 1.35-1.40
B  0.9344  0.1831  0.0000  3 O 1.35-1.40
B  0.2475  0.1663  0.3896  3 O 1.37-1.38
B  0.7475  0.8337  0.1104  3 O 1.37-1.38
B  0.7525  0.8337  0.6104  3 O 1.37-1.38
B  0.2525  0.1663  0.8896  3 O 1.37-1.38
B  0.2383  0.6945  0.3550  3 O 1.37-1.38
B  0.7383  0.3055  0.1450  3 O 1.37-1.38
B  0.7617  0.3055  0.6450  3 O 1.37-1.38
B  0.2617  0.6945  0.8550  3 O 1.37-1.38
Pb  0.6768  0.7486  0.3792  6 O 2.53-2.71
Pb  0.1768  0.2514  0.1208  6 O 2.53-2.71
Pb  0.3232  0.2514  0.6208  6 O 2.53-2.71
Pb  0.8232  0.7486  0.8792  6 O 2.53-2.71
O  0.7830  0.2517  0.3777  3 B 1.52-1.55
O  0.2830  0.7483  0.1223  3 B 1.52-1.55
O  0.2170  0.7483  0.6223  3 B 1.52-1.55
O  0.7170  0.2517  0.8777  3 B 1.52-1.55
O  0.9178  0.4945  0.2535  2 B 1.37-1.46
O  0.4178  0.5055  0.2465  2 B 1.37-1.46
O  0.0822  0.5055  0.7465  2 B 1.37-1.46
O  0.5822  0.4945  0.7535  2 B 1.37-1.46
O  0.2972  0.5501  0.3623  2 B 1.38-1.47
O  0.7972  0.4499  0.1377  2 B 1.38-1.47
O  0.7028  0.4499  0.6377  2 B 1.38-1.47
O  0.2028  0.5501  0.8623  2 B 1.38-1.47
O  0.6934  0.1476  0.2629  2 B 1.37-1.46
O  0.1934  0.8524  0.2371  2 B 1.37-1.46
O  0.3066  0.8524  0.7371  2 B 1.37-1.46
O  0.8066  0.1476  0.7629  2 B 1.37-1.46
O  0.1943  0.0301  0.3830  2 B 1.38-1.46
O  0.6943  0.9699  0.1170  2 B 1.38-1.46
O  0.8057  0.9699  0.6170  2 B 1.38-1.46
O  0.3057  0.0301  0.8830  2 B 1.38-1.46
O  0.2553  0.3701  0.2751  2 B 1.37-1.47
O  0.7553  0.6299  0.2249  2 B 1.37-1.47
O  0.7447  0.6299  0.7249  2 B 1.37-1.47
O  0.2447  0.3701  0.7751  2 B 1.37-1.47
O  0.6056  0.2154  0.3930  2 B 1.35-1.46
O  0.1056  0.7846  0.1070  2 B 1.35-1.46
O  0.3944  0.7846  0.6070  2 B 1.35-1.46
O  0.8944  0.2154  0.8930  2 B 1.35-1.46
O  0.4008  0.9766  0.3710  2 B 1.39-1.40
O  0.9008  0.0234  0.1290  2 B 1.39-1.40
O  0.5992  0.0234  0.6290  2 B 1.39-1.40
O  0.0992  0.9766  0.8710  2 B 1.39-1.40
O  0.7082  0.9064  0.4925  2 B 1.38-1.47
O  0.2082  0.0936  0.0075  2 B 1.38-1.47
O  0.2918  0.0936  0.5075  2 B 1.38-1.47
O  0.7918  0.9064  0.9925  2 B 1.38-1.47
O  0.4912  0.3022  0.4924  1 B 1.37
O  0.9912  0.6978  0.0076  1 B 1.37
O  0.5088  0.6978  0.5076  1 B 1.37
O  0.0088  0.3022  0.9924  1 B 1.37
O  0.0742  0.7609  0.5075  2 B 1.37-1.46
O  0.5742  0.2391  0.9925  2 B 1.37-1.46
O  0.9258  0.2391  0.4925  2 B 1.37-1.46
O  0.4258  0.7609  0.0075  2 B 1.37-1.46
O  0.0037  0.0383  0.2689  1 B 1.37
O  0.5037  0.9617  0.2311  1 B 1.37
O  0.9963  0.9617  0.7311  1 B 1.37
O  0.4963  0.0383  0.7689  1 B 1.37
O  0.2321  0.6753  0.4677  2 B 1.37-1.46
O  0.7321  0.3247  0.0323  2 B 1.37-1.46
O  0.7679  0.3247  0.5323  2 B 1.37-1.46
O  0.2679  0.6753  0.9677  2 B 1.37-1.46
O  0.8658  0.8054  0.3616  1 B 1.36
O  0.3658  0.1946  0.1384  1 B 1.36
O  0.1342  0.1946  0.6384  1 B 1.36
O  0.6342  0.8054  0.8616  1 B 1.36
O  0.0657  0.4366  0.3712  1 B 1.38
O  0.5657  0.5634  0.1288  1 B 1.38
O  0.9343  0.5634  0.6288  1 B 1.38
O  0.4343  0.4366  0.8712  1 B 1.38

Properties
E: -7.3847 eV/atom
ΔH_f (0 K): -2340 meV/atom
total magnetization: 16.03 Bohr magnetons per cell

=====

2.
An optimized crystal structure of Zr2TcPd. Source: Materials Project, functional PBE.

Cell: 4.7011 4.7011 4.7011 Å, 60.00 60.00 60.00°
Closest atoms and distances in Å follow each position.
Fractional positions:
Zr  0.2500  0.2500  0.2500  4 Pd 2.88, 4 Tc 2.88
Zr  0.7500  0.7500  0.7500  4 Pd 2.88, 4 Tc 2.88
Tc  0.0000  0.0000  0.0000  8 Zr 2.88
Pd  0.5000  0.5000  0.5000  8 Zr 2.88

Properties
E: -8.6829 eV/atom
ΔH_f (0 K): -524 meV/atom

=====

3.
An optimized crystal structure of HgSb4C2O2F22. Source: Materials Project, functional PBE.

Cell: 14.3177 7.7751 10.2210 Å, 65.88 90.00 90.00°
Closest atoms and distances in Å follow each position.
Fractional positions:
Hg  0.0000  0.5000  0.0000  2 C 2.11
Hg  0.5000  0.5000  0.5000  2 C 2.11
Sb  0.5827  0.7822  0.7486  6 F 1.89-2.07
Sb  0.2734  0.6936  0.1329  6 F 1.88-2.09
Sb  0.9173  0.7822  0.2486  6 F 1.89-2.07
Sb  0.2266  0.6936  0.6329  6 F 1.88-2.09
Sb  0.7266  0.3064  0.8671  6 F 1.88-2.09
Sb  0.0827  0.2178  0.7514  6 F 1.89-2.07
Sb  0.4173  0.2178  0.2514  6 F 1.89-2.07
Sb  0.7734  0.3064  0.3671  6 F 1.88-2.09
C  0.0608  0.3047  0.1913  1 O 1.13
C  0.4392  0.3047  0.6913  1 O 1.13
C  0.9392  0.6953  0.8087  1 O 1.13
C  0.5608  0.6953  0.3087  1 O 1.13
O  0.0979  0.2058  0.2911  1 C 1.13
O  0.5979  0.7942  0.2089  1 C 1.13
O  0.9021  0.7942  0.7089  1 C 1.13
O  0.4021  0.2058  0.7911  1 C 1.13
F  0.5658  0.8064  0.9239  1 Sb 1.89
F  0.3351  0.8204  0.9563  1 Sb 1.89
F  0.3976  0.2810  0.4143  1 Sb 1.94
F  0.9342  0.8064  0.4239  1 Sb 1.89
F  0.6024  0.7190  0.5857  1 Sb 1.94
F  0.1549  0.4614  0.6304  2 Sb 2.07-2.09
F  0.8976  0.7190  0.0857  1 Sb 1.94
F  0.4755  0.6244  0.7828  1 Sb 1.91
F  0.2240  0.5200  0.3094  1 Sb 1.89
F  0.8451  0.5386  0.3696  2 Sb 2.07-2.09
F  0.7924  0.0941  0.8720  1 Sb 1.88
F  0.2985  0.1026  0.2835  1 Sb 1.89
F  0.2924  0.9059  0.6280  1 Sb 1.88
F  0.1649  0.8204  0.4563  1 Sb 1.89
F  0.8811  0.2744  0.2667  1 Sb 1.92
F  0.9755  0.3756  0.7172  1 Sb 1.91
F  0.6189  0.2744  0.7667  1 Sb 1.92
F  0.5245  0.3756  0.2172  1 Sb 1.91
F  0.4342  0.1936  0.0761  1 Sb 1.89
F  0.8351  0.1796  0.5437  1 Sb 1.89
F  0.7240  0.4800  0.1906  1 Sb 1.89
F  0.3451  0.4614  0.1304  2 Sb 2.07-2.09
F  0.3258  0.6182  0.5391  1 Sb 1.93
F  0.2015  0.1026  0.7835  1 Sb 1.89
F  0.3811  0.7256  0.2333  1 Sb 1.92
F  0.1024  0.2810  0.9143  1 Sb 1.94
F  0.9813  0.0109  0.1396  1 Sb 1.90
F  0.7760  0.4800  0.6906  1 Sb 1.89
F  0.4813  0.9891  0.3604  1 Sb 1.90
F  0.1189  0.7256  0.7333  1 Sb 1.92
F  0.6742  0.3818  0.4609  1 Sb 1.93
F  0.7015  0.8974  0.7165  1 Sb 1.89
F  0.6649  0.1796  0.0437  1 Sb 1.89
F  0.2076  0.9059  0.1280  1 Sb 1.88
F  0.8258  0.3818  0.9609  1 Sb 1.93
F  0.7985  0.8974  0.2165  1 Sb 1.89
F  0.0658  0.1936  0.5761  1 Sb 1.89
F  0.6549  0.5386  0.8696  2 Sb 2.07-2.09
F  0.0245  0.6244  0.2828  1 Sb 1.91
F  0.0187  0.9891  0.8604  1 Sb 1.90
F  0.7076  0.0941  0.3720  1 Sb 1.88
F  0.2760  0.5200  0.8094  1 Sb 1.89
F  0.5187  0.0109  0.6396  1 Sb 1.90
F  0.1742  0.6182  0.0391  1 Sb 1.93

Properties
E: -4.7659 eV/atom
ΔH_f (0 K): -2322 meV/atom
total magnetization: 0.00 Bohr magnetons per cell

=====

4.
An optimized crystal structure of Na4Bi2PC4O16. Source: Materials Project, functional PBE.

Cell: 10.6495 10.5370 10.2259 Å, 61.69 60.59 57.72°
Closest atoms and distances in Å follow each position.
Fractional positions:
Na  0.9516  0.5484  0.9516  6 O 2.37-2.57
Na  0.9527  0.5473  0.5473  4 O 2.37-2.50
Na  0.7027  0.2973  0.2973  4 O 2.37-2.50
Na  0.7016  0.2984  0.7016  6 O 2.37-2.57
Na  0.5484  0.9516  0.5484  6 O 2.37-2.57
Na  0.5473  0.9527  0.9527  4 O 2.37-2.50
Na  0.2973  0.7027  0.7027  4 O 2.37-2.50
Na  0.2984  0.7016  0.2984  6 O 2.37-2.57
Bi  0.1250  0.6250  0.1250  6 O 2.38-2.39
Bi  0.6250  0.1250  0.1250  6 O 2.38-2.39
Bi  0.1250  0.1250  0.1250  6 O 2.38-2.39
Bi  0.1250  0.1250  0.6250  6 O 2.38-2.39
P  0.5000  0.5000  0.5000  4 O 1.55
P  0.7500  0.7500  0.7500  4 O 1.55
C  0.8929  0.2866  0.9133  3 O 1.29-1.31
C  0.9634  0.3571  0.3428  3 O 1.29-1.31
C  0.9133  0.9072  0.8929  3 O 1.29-1.31
C  0.9072  0.9133  0.2866  3 O 1.29-1.31
C  0.3428  0.3367  0.9634  3 O 1.29-1.31
C  0.3367  0.3428  0.3571  3 O 1.29-1.31
C  0.2866  0.8929  0.9072  3 O 1.29-1.31
C  0.3571  0.9634  0.3367  3 O 1.29-1.31
O  0.0055  0.2946  0.9231  1 C 1.30
O  0.5546  0.5568  0.3182  1 P 1.55
O  0.7727  0.2741  0.0355  1 C 1.29
O  0.9759  0.4773  0.3323  1 C 1.29
O  0.0355  0.9177  0.7727  1 C 1.29
O  0.9581  0.3481  0.2223  1 C 1.31
O  0.3182  0.5704  0.5546  1 P 1.55
O  0.5568  0.5546  0.5704  1 P 1.55
O  0.4716  0.2223  0.3481  1 C 1.31
O  0.9177  0.0355  0.2741  1 C 1.29
O  0.9554  0.2445  0.4731  1 C 1.30
O  0.5704  0.3182  0.5568  1 P 1.55
O  0.9231  0.7769  0.0055  1 C 1.30
O  0.7769  0.9231  0.2946  1 C 1.30
O  0.9019  0.2919  0.7784  1 C 1.31
O  0.2223  0.4716  0.9581  1 C 1.31
O  0.0277  0.7784  0.2919  1 C 1.31
O  0.3481  0.9581  0.4716  1 C 1.31
O  0.4731  0.3269  0.9554  1 C 1.30
O  0.3269  0.4731  0.2445  1 C 1.30
O  0.6796  0.9318  0.6932  1 P 1.55
O  0.2946  0.0055  0.7769  1 C 1.30
O  0.3323  0.2145  0.9759  1 C 1.29
O  0.7784  0.0277  0.9019  1 C 1.31
O  0.6932  0.6954  0.6796  1 P 1.55
O  0.9318  0.6796  0.6954  1 P 1.55
O  0.2919  0.9019  0.0277  1 C 1.31
O  0.2145  0.3323  0.4773  1 C 1.29
O  0.2741  0.7727  0.9177  1 C 1.29
O  0.4773  0.9759  0.2145  1 C 1.29
O  0.6954  0.6932  0.9318  1 P 1.55
O  0.2445  0.9554  0.3269  1 C 1.30

Properties
E: -6.5397 eV/atom
ΔH_f (0 K): -1963 meV/atom
total magnetization: 2.00 Bohr magnetons per cell